Density functional theory data (PBE) for a geometry-optimized Li2In2GeSe6 structure.

Computed properties:
SG: Cc

abc: 7.5240 7.5240 12.8857
angles: 106.92 106.92 60.84
Fractional coordinates of all 22 atoms:
1 Li 0.1011 0.8989 0.5000
2 Li 0.5119 0.9019 0.1551
3 Li 0.8989 0.1011 0.0000
4 Li 0.9019 0.5119 0.6551
5 In 0.2709 0.4127 0.0041
6 In 0.4127 0.2709 0.5041
7 In 0.4283 0.6084 0.8082
8 In 0.6084 0.4283 0.3082
9 Ge 0.0409 0.5035 0.2492
10 Ge 0.5035 0.0409 0.7492
11 Se 0.1694 0.6187 0.6179
12 Se 0.1761 0.2244 0.8017
13 Se 0.2168 0.7133 0.3024
14 Se 0.2244 0.1761 0.3017
15 Se 0.2685 0.7575 0.9897
16 Se 0.4576 0.9337 0.5554
17 Se 0.6187 0.1694 0.1179
18 Se 0.7091 0.7385 0.8292
19 Se 0.7133 0.2168 0.8024
20 Se 0.7385 0.7091 0.3292
21 Se 0.7575 0.2685 0.4897
22 Se 0.9337 0.4576 0.0554

***

Density functional theory data (PBE) for a geometry-optimized InGeN2 structure.

Computed properties:
SG: Pbca

abc: 5.7984 10.7723 14.1805
angles: 90.00 90.00 90.00
Fractional coordinates of all 64 atoms:
1 In 0.1012 0.2274 0.1783
2 In 0.1012 0.2726 0.6783
3 In 0.1969 0.9996 0.0808
4 In 0.1969 0.5004 0.5808
5 In 0.3031 0.0004 0.5808
6 In 0.3031 0.4996 0.0808
7 In 0.3988 0.7274 0.1783
8 In 0.3988 0.7726 0.6783
9 In 0.6012 0.2274 0.3217
10 In 0.6012 0.2726 0.8217
11 In 0.6969 0.9996 0.4192
12 In 0.6969 0.5004 0.9192
13 In 0.8031 0.0004 0.9192
14 In 0.8031 0.4996 0.4192
15 In 0.8988 0.7274 0.3217
16 In 0.8988 0.7726 0.8217
17 Ge 0.1305 0.2374 0.9395
18 Ge 0.1305 0.2626 0.4395
19 Ge 0.2091 0.5053 0.8123
20 Ge 0.2091 0.9947 0.3123
21 Ge 0.2909 0.0053 0.8123
22 Ge 0.2909 0.4947 0.3123
23 Ge 0.3695 0.7374 0.9395
24 Ge 0.3695 0.7626 0.4395
25 Ge 0.6305 0.2374 0.5605
26 Ge 0.6305 0.2626 0.0605
27 Ge 0.7091 0.5053 0.6877
28 Ge 0.7091 0.9947 0.1877
29 Ge 0.7909 0.0053 0.6877
30 Ge 0.7909 0.4947 0.1877
31 Ge 0.8695 0.7374 0.5605
32 Ge 0.8695 0.7626 0.0605
33 N 0.0821 0.0685 0.7196
34 N 0.0821 0.4315 0.2196
35 N 0.1941 0.7003 0.5414
36 N 0.1941 0.7997 0.0414
37 N 0.2061 0.1728 0.3267
38 N 0.2061 0.3272 0.8267
39 N 0.2256 0.0733 0.9283
40 N 0.2256 0.4267 0.4283
41 N 0.2744 0.5733 0.9283
42 N 0.2744 0.9267 0.4283
43 N 0.2939 0.6728 0.3267
44 N 0.2939 0.8272 0.8267
45 N 0.3059 0.2003 0.5414
46 N 0.3059 0.2997 0.0414
47 N 0.4179 0.5685 0.7196
48 N 0.4179 0.9315 0.2196
49 N 0.5821 0.0685 0.7804
50 N 0.5821 0.4315 0.2804
51 N 0.6941 0.7003 0.9586
52 N 0.6941 0.7997 0.4586
53 N 0.7061 0.1728 0.1733
54 N 0.7061 0.3272 0.6733
55 N 0.7256 0.0733 0.5717
56 N 0.7256 0.4267 0.0717
57 N 0.7744 0.5733 0.5717
58 N 0.7744 0.9267 0.0717
59 N 0.7939 0.6728 0.1733
60 N 0.7939 0.8272 0.6733
61 N 0.8059 0.2003 0.9586
62 N 0.8059 0.2997 0.4586
63 N 0.9179 0.5685 0.7804
64 N 0.9179 0.9315 0.2804

***

Density functional theory data (PBE) for a geometry-optimized In7GeN6 structure.

Computed properties:
SG: Pbcn

abc: 10.9433 6.1455 15.0093
angles: 90.00 90.00 90.00
Fractional coordinates of all 56 atoms:
1 In 0.0000 0.1523 0.2500
2 In 0.0000 0.8477 0.7500
3 In 0.0021 0.3130 0.0534
4 In 0.0021 0.6870 0.5534
5 In 0.2293 0.1261 0.5907
6 In 0.2293 0.8739 0.0907
7 In 0.2307 0.1403 0.8588
8 In 0.2307 0.8597 0.3588
9 In 0.2693 0.3597 0.3588
10 In 0.2693 0.6403 0.8588
11 In 0.2707 0.3739 0.0907
12 In 0.2707 0.6261 0.5907
13 In 0.4979 0.1870 0.5534
14 In 0.4979 0.8130 0.0534
15 In 0.5000 0.3477 0.7500
16 In 0.5000 0.6523 0.2500
17 In 0.5021 0.1870 0.9466
18 In 0.5021 0.8130 0.4466
19 In 0.7293 0.3739 0.4093
20 In 0.7293 0.6261 0.9093
21 In 0.7307 0.3597 0.1412
22 In 0.7307 0.6403 0.6412
23 In 0.7693 0.1403 0.6412
24 In 0.7693 0.8597 0.1412
25 In 0.7707 0.1261 0.9093
26 In 0.7707 0.8739 0.4093
27 In 0.9979 0.3130 0.4466
28 In 0.9979 0.6870 0.9466
29 Ge 0.0000 0.3461 0.7500
30 Ge 0.0000 0.6539 0.2500
31 Ge 0.5000 0.1539 0.2500
32 Ge 0.5000 0.8461 0.7500
33 N 0.0778 0.4456 0.3219
34 N 0.0778 0.5544 0.8219
35 N 0.1252 0.1326 0.7265
36 N 0.1252 0.8674 0.2265
37 N 0.1671 0.1194 0.4452
38 N 0.1671 0.8806 0.9452
39 N 0.3329 0.3806 0.9452
40 N 0.3329 0.6194 0.4452
41 N 0.3748 0.3674 0.2265
42 N 0.3748 0.6326 0.7265
43 N 0.4222 0.0544 0.8219
44 N 0.4222 0.9456 0.3219
45 N 0.5778 0.0544 0.6781
46 N 0.5778 0.9456 0.1781
47 N 0.6252 0.3674 0.2735
48 N 0.6252 0.6326 0.7735
49 N 0.6671 0.3806 0.5548
50 N 0.6671 0.6194 0.0548
51 N 0.8329 0.1194 0.0548
52 N 0.8329 0.8806 0.5548
53 N 0.8748 0.1326 0.7735
54 N 0.8748 0.8674 0.2735
55 N 0.9222 0.4456 0.1781
56 N 0.9222 0.5544 0.6781

***

Density functional theory data (PBE) for a geometry-optimized In5Ge2N6 structure.

Computed properties:
SG: C2/c

abc: 6.1282 6.1282 13.1706
angles: 93.90 93.90 59.82
Fractional coordinates of all 26 atoms:
1 In 0.0417 0.9583 0.7500
2 In 0.0857 0.7728 0.0492
3 In 0.2272 0.9143 0.4508
4 In 0.3288 0.3792 0.3051
5 In 0.3792 0.3288 0.8051
6 In 0.6208 0.6712 0.1949
7 In 0.6712 0.6208 0.6949
8 In 0.7728 0.0857 0.5492
9 In 0.9143 0.2272 0.9508
10 In 0.9583 0.0417 0.2500
11 Ge 0.1615 0.4477 0.5875
12 Ge 0.4477 0.1615 0.0875
13 Ge 0.5523 0.8385 0.9125
14 Ge 0.8385 0.5523 0.4125
15 N 0.0767 0.3491 0.7024
16 N 0.1938 0.2913 0.4548
17 N 0.2913 0.1938 0.9548
18 N 0.3491 0.0767 0.2024
19 N 0.4145 0.4779 0.1301
20 N 0.4779 0.4145 0.6301
21 N 0.5221 0.5855 0.3699
22 N 0.5855 0.5221 0.8699
23 N 0.6509 0.9233 0.7976
24 N 0.7087 0.8062 0.0452
25 N 0.8062 0.7087 0.5452
26 N 0.9233 0.6509 0.2976

***

Density functional theory data (PBE) for a geometry-optimized In5Ge3N9 structure.

Computed properties:
SG: Cmce

abc: 7.8463 7.8463 16.1323
angles: 90.00 90.00 91.72
Fractional coordinates of all 68 atoms:
1 In 0.0050 0.9950 0.8994
2 In 0.0190 0.3661 0.8449
3 In 0.0445 0.9555 0.6599
4 In 0.1339 0.4810 0.6551
5 In 0.1969 0.1969 0.5000
6 In 0.3031 0.3031 0.0000
7 In 0.3661 0.0190 0.1551
8 In 0.4555 0.5445 0.1599
9 In 0.4810 0.1339 0.3449
10 In 0.4950 0.5050 0.3994
11 In 0.5050 0.4950 0.6006
12 In 0.5190 0.8661 0.6551
13 In 0.5445 0.4555 0.8401
14 In 0.6339 0.9810 0.8449
15 In 0.6969 0.6969 0.0000
16 In 0.8031 0.8031 0.5000
17 In 0.8661 0.5190 0.3449
18 In 0.9555 0.0445 0.3401
19 In 0.9810 0.6339 0.1551
20 In 0.9950 0.0050 0.1006
21 Ge 0.1769 0.3231 0.2500
22 Ge 0.2303 0.7697 0.9992
23 Ge 0.2389 0.7611 0.2832
24 Ge 0.2611 0.7389 0.7832
25 Ge 0.2697 0.7303 0.4992
26 Ge 0.3231 0.1769 0.7500
27 Ge 0.6769 0.8231 0.2500
28 Ge 0.7303 0.2697 0.5008
29 Ge 0.7389 0.2611 0.2168
30 Ge 0.7611 0.2389 0.7168
31 Ge 0.7697 0.2303 0.0008
32 Ge 0.8231 0.6769 0.7500
33 N 0.0027 0.2549 0.9643
34 N 0.0575 0.6880 0.7282
35 N 0.0886 0.9114 0.2305
36 N 0.1120 0.8880 0.5290
37 N 0.1880 0.5575 0.2282
38 N 0.1947 0.2210 0.6532
39 N 0.1966 0.8034 0.8869
40 N 0.2210 0.1947 0.3468
41 N 0.2451 0.4973 0.5357
42 N 0.2549 0.0027 0.0357
43 N 0.2790 0.3053 0.8468
44 N 0.3034 0.6966 0.3869
45 N 0.3053 0.2790 0.1532
46 N 0.3120 0.9425 0.7282
47 N 0.3880 0.6120 0.0290
48 N 0.4114 0.5886 0.7305
49 N 0.4425 0.8120 0.2282
50 N 0.4973 0.2451 0.4643
51 N 0.5027 0.7549 0.5357
52 N 0.5575 0.1880 0.7718
53 N 0.5886 0.4114 0.2695
54 N 0.6120 0.3880 0.9710
55 N 0.6880 0.0575 0.2718
56 N 0.6947 0.7210 0.8468
57 N 0.6966 0.3034 0.6131
58 N 0.7210 0.6947 0.1532
59 N 0.7451 0.9973 0.9643
60 N 0.7549 0.5027 0.4643
61 N 0.7790 0.8053 0.6532
62 N 0.8034 0.1966 0.1131
63 N 0.8053 0.7790 0.3468
64 N 0.8120 0.4425 0.7718
65 N 0.8880 0.1120 0.4710
66 N 0.9114 0.0886 0.7695
67 N 0.9425 0.3120 0.2718
68 N 0.9973 0.7451 0.0357

***

Density functional theory data (PBE) for a geometry-optimized In3Ge6N11 structure.

Computed properties:
SG: P4bm

abc: 10.2401 10.2401 5.1551
angles: 90.00 90.00 90.00
Fractional coordinates of all 40 atoms:
1 In 0.0000 0.0000 0.0000
2 In 0.1857 0.3143 0.9867
3 In 0.3143 0.8143 0.9867
4 In 0.5000 0.5000 0.0000
5 In 0.6857 0.1857 0.9867
6 In 0.8143 0.6857 0.9867
7 Ge 0.0804 0.7914 0.5622
8 Ge 0.1211 0.6211 0.0752
9 Ge 0.2086 0.0804 0.5622
10 Ge 0.2914 0.5804 0.5622
11 Ge 0.3789 0.1211 0.0752
12 Ge 0.4196 0.2914 0.5622
13 Ge 0.5804 0.7086 0.5622
14 Ge 0.6211 0.8789 0.0752
15 Ge 0.7086 0.4196 0.5622
16 Ge 0.7914 0.9196 0.5622
17 Ge 0.8789 0.3789 0.0752
18 Ge 0.9196 0.2086 0.5622
19 N 0.0000 0.5000 0.1659
20 N 0.0789 0.1815 0.7179
21 N 0.0986 0.7950 0.2035
22 N 0.1405 0.6405 0.7166
23 N 0.1815 0.9211 0.7179
24 N 0.2050 0.0986 0.2035
25 N 0.2950 0.5986 0.2035
26 N 0.3185 0.4211 0.7179
27 N 0.3595 0.1405 0.7166
28 N 0.4014 0.2950 0.2035
29 N 0.4211 0.6815 0.7179
30 N 0.5000 0.0000 0.1659
31 N 0.5789 0.3185 0.7179
32 N 0.5986 0.7050 0.2035
33 N 0.6405 0.8595 0.7166
34 N 0.6815 0.5789 0.7179
35 N 0.7050 0.4014 0.2035
36 N 0.7950 0.9014 0.2035
37 N 0.8185 0.0789 0.7179
38 N 0.8595 0.3595 0.7166
39 N 0.9014 0.2050 0.2035
40 N 0.9211 0.8185 0.7179

***

Raw total energy values, unit eV/atom, following the record order: -3.863; -5.833; -4.903; -5.235; -5.630; -6.128.
Energy of formation from the pure elements values, unit eV per atom, following the record order: -0.95; 0.00; 0.22; 0.22; 0.22; 0.06.
Ρ values, unit g/cm3, following the record order: 4.375; 6.463; 6.320; 6.260; 6.143; 5.741.